Below is crystalline GaN at its relaxed geometry, with properties calculated at the PBE level.

The structure in POSCAR format:
```
GaN
1.0
11.5306 0.0000 0.0000
-0.6370 11.5683 0.0000
-0.0585 -0.4306 11.7534
Ga N
50 50
direct
0.0000 0.0000 0.0000
0.0012 0.2876 0.6956
0.0227 0.0092 0.7876
0.1248 0.7621 0.8824
0.1403 0.9369 0.3748
0.1517 0.6467 0.4162
0.1724 0.7716 0.1356
0.1806 0.8718 0.6090
0.1921 0.3736 0.5190
0.1962 0.3947 0.7396
0.2262 0.1585 0.6512
0.2282 0.5649 0.8742
0.2976 0.9761 0.8110
0.2993 0.1263 0.3758
0.3176 0.6320 0.0764
0.3473 0.7660 0.3538
0.3485 0.2083 0.8380
0.3492 0.3594 0.9972
0.4068 0.7155 0.5978
0.4188 0.5857 0.2581
0.4207 0.3008 0.2879
0.4261 0.8157 0.8817
0.4438 0.0519 0.5747
0.4584 0.2691 0.5401
0.4899 0.5434 0.9136
0.4957 0.0143 0.3625
0.5436 0.7840 0.1583
0.5469 0.4753 0.1131
0.5605 0.5403 0.4126
0.5680 0.9533 0.7046
0.5810 0.2258 0.0422
0.5850 0.1783 0.8217
0.6254 0.7038 0.6914
0.6287 0.7737 0.4219
0.6597 0.9755 0.9939
0.6674 0.1223 0.2876
0.6818 0.7298 0.9180
0.6887 0.6426 0.1892
0.6962 0.3191 0.3855
0.7047 0.4560 0.7962
0.7476 0.4932 0.0067
0.7668 0.0341 0.4622
0.7983 0.3493 0.6353
0.8048 0.9441 0.7868
0.8407 0.0715 0.1390
0.8440 0.5949 0.4455
0.8814 0.7985 0.5270
0.8899 0.7876 0.0458
0.9663 0.0457 0.5511
0.9854 0.4112 0.4705
0.0021 0.2319 0.3563
0.0063 0.5662 0.4270
0.0155 0.1416 0.3870
0.0336 0.3977 0.9498
0.0417 0.8995 0.5133
0.0529 0.8317 0.0314
0.0562 0.1290 0.6720
0.0755 0.5467 0.1924
0.1361 0.8854 0.7731
0.1537 0.2233 0.0931
0.1652 0.2359 0.1873
0.1825 0.7883 0.3030
0.2384 0.4806 0.3892
0.2510 0.4840 0.0199
0.2665 0.7453 0.5213
0.2781 0.2367 0.5086
0.2929 0.0051 0.6381
0.3062 0.9694 0.1081
0.3122 0.4544 0.3184
0.3596 0.0527 0.1048
0.3760 0.6591 0.9168
0.3767 0.4996 0.6365
0.4547 0.4406 0.6345
0.4689 0.3210 0.1271
0.4886 0.7988 0.7225
0.5005 0.8479 0.3223
0.5369 0.3688 0.4153
0.5542 0.6657 0.5348
0.5604 0.8325 0.9975
0.6153 0.5905 0.8144
0.6548 0.0233 0.8361
0.6687 0.1066 0.1133
0.6939 0.1984 0.6578
0.7016 0.1040 0.6118
0.7073 0.6271 0.3522
0.7421 0.8753 0.4924
0.7487 0.7870 0.7786
0.7786 0.6632 0.0396
0.8112 0.4164 0.4804
0.8240 0.9322 0.0185
0.8353 0.3722 0.2064
0.8364 0.2300 0.9444
0.8897 0.2072 0.8678
0.8994 0.8173 0.2439
0.9057 0.3204 0.1679
0.9203 0.9026 0.2920
0.9217 0.5764 0.7440
0.9722 0.4688 0.9621
0.9873 0.6293 0.6957
0.9882 0.5749 0.1671
```

=====

Below is crystalline GaN at its relaxed geometry, with properties calculated at the PBE level.

The structure in POSCAR format:
```
GaN
1.0
10.7227 0.0000 0.0000
0.4363 11.3655 0.0000
0.4348 0.4319 12.6680
Ga N
50 50
direct
0.0000 0.0000 0.0000
0.0034 0.1695 0.3920
0.0194 0.8695 0.8311
0.0286 0.3749 0.7291
0.0539 0.8501 0.4196
0.0912 0.9560 0.1993
0.1135 0.5976 0.7332
0.1260 0.9563 0.6508
0.1278 0.4451 0.8938
0.1402 0.1956 0.8860
0.1435 0.2375 0.5302
0.1509 0.5042 0.3077
0.1576 0.7339 0.2328
0.1592 0.6608 0.9720
0.1844 0.4746 0.5057
0.2500 0.0463 0.4223
0.2787 0.8084 0.7510
0.2997 0.7634 0.4084
0.3183 0.3802 0.6817
0.3511 0.6591 0.1011
0.3560 0.6696 0.5822
0.3999 0.0452 0.6204
0.4171 0.1995 0.4505
0.4364 0.5871 0.3355
0.4648 0.4270 0.4888
0.4812 0.8032 0.2216
0.5134 0.7751 0.7542
0.5859 0.1426 0.6961
0.6062 0.8147 0.5205
0.6197 0.5395 0.6462
0.6433 0.3425 0.2782
0.6786 0.5544 0.9665
0.6907 0.6249 0.1733
0.7062 0.2634 0.5184
0.7080 0.8939 0.7641
0.7139 0.3712 0.7914
0.7392 0.8019 0.3507
0.7431 0.5226 0.3906
0.7558 0.1207 0.9102
0.7917 0.9058 0.1384
0.8003 0.0404 0.3162
0.8064 0.1821 0.1543
0.8411 0.9924 0.5389
0.8524 0.6199 0.8097
0.8969 0.7807 0.6395
0.9096 0.3707 0.9477
0.9106 0.5787 0.1184
0.9147 0.3696 0.3142
0.9146 0.5104 0.5514
0.9343 0.6596 0.3792
0.0269 0.6160 0.2472
0.0434 0.3831 0.5771
0.0956 0.0116 0.3465
0.1265 0.2423 0.1526
0.1430 0.7308 0.8288
0.1827 0.2668 0.0793
0.1995 0.3147 0.7845
0.2203 0.0774 0.5826
0.2531 0.5429 0.6372
0.2839 0.9469 0.9091
0.2960 0.5805 0.2347
0.2986 0.0139 0.1545
0.3045 0.3258 0.5305
0.3111 0.0409 0.8917
0.3271 0.3011 0.2737
0.3590 0.0865 0.1234
0.3694 0.9136 0.4427
0.3751 0.5020 0.8641
0.4030 0.3381 0.2204
0.4299 0.5793 0.8871
0.4431 0.2774 0.9673
0.4536 0.9299 0.5111
0.5028 0.4004 0.6692
0.5120 0.3192 0.0165
0.5128 0.0153 0.2762
0.5324 0.6884 0.6174
0.5424 0.8900 0.9964
0.5486 0.9880 0.9967
0.5647 0.2964 0.4234
0.5803 0.3128 0.7126
0.5929 0.0446 0.3246
0.6050 0.5297 0.2863
0.6670 0.7977 0.2026
0.6853 0.0554 0.7954
0.6954 0.5392 0.7874
0.7373 0.4611 0.5400
0.7380 0.8768 0.6062
0.7722 0.2831 0.9037
0.8181 0.0540 0.0422
0.8288 0.1272 0.4487
0.8610 0.7996 0.7962
0.8651 0.5430 0.9533
0.8939 0.3246 0.0994
0.9209 0.4056 0.1620
0.9402 0.8281 0.0537
0.9438 0.1263 0.6742
0.9461 0.6187 0.6672
0.9499 0.1831 0.7459
0.9849 0.7276 0.0481
0.9968 0.8980 0.5612
```

=====

Which calculated formation energy belongs to each record? In order, -0.01; 0.00 eV per atom.
Which E_tot belongs to each record? In order, -5.5095; -5.5002 eV/atom.